Entry 1:
Computed, not measured: a relaxed structure of LaB2Ru3 at the GGA-PBE level of DFT.

```
LaB2Ru3
1.0
0.000 0.000 -3.033
-2.806 -4.861 0.000
-2.806 4.861 0.000
La B Ru
1 2 3
direct
0.000 0.000 0.000 La
0.000 0.667 0.333 B
0.000 0.333 0.667 B
0.500 0.000 0.500 Ru
0.500 0.500 0.000 Ru
0.500 0.500 0.500 Ru
```


Entry 2:
Computed, not measured: a relaxed structure of Pb3IF5 at the GGA-PBE level of DFT.

```
Pb3IF5
1.0
-2.258 3.621 -0.720
-0.660 -2.304 3.604
16.112 12.182 10.741
Pb I F
6 2 10
direct
0.325 0.675 0.635 Pb
0.673 0.327 0.354 Pb
0.327 0.673 0.854 Pb
0.675 0.325 0.135 Pb
0.996 0.004 0.509 Pb
0.004 0.996 0.009 Pb
0.342 0.658 0.255 I
0.658 0.342 0.755 I
0.333 0.667 0.528 F
0.671 0.329 0.456 F
0.329 0.671 0.956 F
0.667 0.333 0.028 F
0.997 0.003 0.625 F
0.006 0.994 0.381 F
0.994 0.006 0.881 F
0.003 0.997 0.125 F
0.667 0.333 0.586 F
0.333 0.667 0.086 F
```

Total energy after the MP2020 corrections (eV/atom): -4.742


Entry 3:
Computed, not measured: a relaxed structure of FeCoGe at the GGA-PBE level of DFT.

```
FeCoGe
1.0
-1.250 -0.643 -3.820
-2.349 -1.128 3.127
-2.220 4.524 -0.035
Fe Co Ge
2 2 2
direct
0.000 0.000 0.000 Fe
0.000 0.000 0.500 Fe
0.333 0.667 0.750 Co
0.667 0.333 0.250 Co
0.333 0.667 0.250 Ge
0.667 0.333 0.750 Ge
```


Entry 4:
Computed, not measured: a relaxed structure of Nd2Fe14B at the GGA-PBE level of DFT.

```
Nd2Fe14B
1.0
-7.301 -4.581 -1.651
2.887 -6.469 5.181
-5.415 5.202 9.513
Nd Fe B
8 56 4
direct
0.857 0.143 0.000 Nd
0.357 0.357 0.500 Nd
0.643 0.643 0.500 Nd
0.143 0.857 0.000 Nd
0.732 0.732 0.000 Nd
0.768 0.232 0.500 Nd
0.232 0.768 0.500 Nd
0.268 0.268 0.000 Nd
0.567 0.225 0.127 Fe
0.433 0.775 0.127 Fe
0.225 0.567 0.873 Fe
0.725 0.933 0.627 Fe
0.275 0.067 0.627 Fe
0.933 0.725 0.373 Fe
0.067 0.275 0.373 Fe
0.775 0.433 0.873 Fe
0.433 0.775 0.873 Fe
0.567 0.225 0.873 Fe
0.775 0.433 0.127 Fe
0.275 0.067 0.373 Fe
0.725 0.933 0.373 Fe
0.067 0.275 0.627 Fe
0.933 0.725 0.627 Fe
0.225 0.567 0.127 Fe
0.360 0.037 0.176 Fe
0.640 0.963 0.176 Fe
0.037 0.360 0.824 Fe
0.537 0.140 0.676 Fe
0.463 0.860 0.676 Fe
0.140 0.537 0.324 Fe
0.860 0.463 0.324 Fe
0.963 0.640 0.824 Fe
0.640 0.963 0.824 Fe
0.360 0.037 0.824 Fe
0.963 0.640 0.176 Fe
0.463 0.860 0.324 Fe
0.537 0.140 0.324 Fe
0.860 0.463 0.676 Fe
0.140 0.537 0.676 Fe
0.037 0.360 0.176 Fe
0.902 0.902 0.795 Fe
0.098 0.098 0.795 Fe
0.902 0.902 0.205 Fe
0.402 0.598 0.295 Fe
0.598 0.402 0.295 Fe
0.598 0.402 0.705 Fe
0.402 0.598 0.705 Fe
0.098 0.098 0.205 Fe
0.682 0.682 0.754 Fe
0.318 0.318 0.754 Fe
0.682 0.682 0.246 Fe
0.182 0.818 0.254 Fe
0.818 0.182 0.254 Fe
0.818 0.182 0.746 Fe
0.182 0.818 0.746 Fe
0.318 0.318 0.246 Fe
0.000 0.000 0.615 Fe
0.500 0.500 0.115 Fe
0.500 0.500 0.885 Fe
0.000 0.000 0.385 Fe
0.500 0.000 0.000 Fe
0.500 0.000 0.500 Fe
0.000 0.500 0.500 Fe
0.000 0.500 0.000 Fe
0.623 0.377 0.000 B
0.123 0.123 0.500 B
0.877 0.877 0.500 B
0.377 0.623 0.000 B
```

E above lowest polymorph (meV per atom): 0


Entry 5:
Computed, not measured: a relaxed structure of BaO at the GGA-PBE level of DFT.

```
BaO
1.0
3.925 0.000 0.000
0.000 6.836 0.000
0.000 0.000 52.661
Ba O
32 32
direct
0.748 0.031 0.250 Ba
0.250 0.034 0.563 Ba
0.250 0.034 0.937 Ba
0.748 0.169 0.625 Ba
0.748 0.169 0.875 Ba
0.251 0.190 0.188 Ba
0.251 0.190 0.312 Ba
0.751 0.250 0.000 Ba
0.751 0.250 0.500 Ba
0.251 0.310 0.688 Ba
0.251 0.310 0.812 Ba
0.748 0.331 0.125 Ba
0.748 0.331 0.375 Ba
0.250 0.466 0.063 Ba
0.250 0.466 0.437 Ba
0.748 0.469 0.750 Ba
0.252 0.531 0.250 Ba
0.750 0.534 0.937 Ba
0.750 0.534 0.563 Ba
0.252 0.669 0.625 Ba
0.252 0.669 0.875 Ba
0.749 0.690 0.188 Ba
0.749 0.690 0.312 Ba
0.249 0.750 0.000 Ba
0.249 0.750 0.500 Ba
0.749 0.810 0.688 Ba
0.749 0.810 0.812 Ba
0.252 0.831 0.125 Ba
0.252 0.831 0.375 Ba
0.750 0.966 0.437 Ba
0.750 0.966 0.063 Ba
0.252 0.969 0.750 Ba
0.250 0.089 0.031 O
0.244 0.158 0.094 O
0.767 0.011 0.156 O
0.244 0.158 0.406 O
0.767 0.011 0.344 O
0.250 0.089 0.469 O
0.758 0.140 0.718 O
0.758 0.140 0.782 O
0.758 0.360 0.218 O
0.250 0.411 0.531 O
0.250 0.411 0.969 O
0.767 0.489 0.656 O
0.758 0.360 0.282 O
0.244 0.342 0.594 O
0.244 0.342 0.906 O
0.767 0.489 0.844 O
0.233 0.511 0.156 O
0.233 0.511 0.344 O
0.242 0.640 0.718 O
0.750 0.589 0.031 O
0.242 0.640 0.782 O
0.756 0.658 0.406 O
0.750 0.589 0.469 O
0.756 0.658 0.094 O
0.242 0.860 0.218 O
0.242 0.860 0.282 O
0.756 0.842 0.594 O
0.233 0.989 0.656 O
0.233 0.989 0.844 O
0.756 0.842 0.906 O
0.750 0.911 0.969 O
0.750 0.911 0.531 O
```

Total energy after the MP2020 corrections (eV/atom): -6.237


Entry 6:
Computed, not measured: a relaxed structure of ThAs12Os4 at the GGA-PBE level of DFT.

```
ThAs12Os4
1.0
-4.317 4.317 4.317
4.317 -4.317 4.317
4.317 4.317 -4.317
Th As Os
1 12 4
direct
0.000 0.000 0.000 Th
0.346 0.197 0.851 As
0.654 0.803 0.149 As
0.654 0.505 0.851 As
0.346 0.495 0.149 As
0.197 0.851 0.346 As
0.803 0.149 0.654 As
0.505 0.851 0.654 As
0.495 0.149 0.346 As
0.851 0.346 0.197 As
0.149 0.654 0.803 As
0.851 0.654 0.505 As
0.149 0.346 0.495 As
0.000 0.000 0.500 Os
0.500 0.000 0.000 Os
0.000 0.500 0.000 Os
0.500 0.500 0.500 Os
```


Entry 7:
Computed, not measured: a relaxed structure of RbRuF6 at the GGA-PBE level of DFT.

```
RbRuF6
1.0
-1.187 5.092 0.563
-2.883 -0.910 -4.303
-3.407 -1.898 3.528
Rb Ru F
1 1 6
direct
0.500 0.500 0.500 Rb
0.000 0.000 0.000 Ru
0.255 0.255 0.919 F
0.919 0.255 0.255 F
0.081 0.745 0.745 F
0.745 0.745 0.081 F
0.745 0.081 0.745 F
0.255 0.919 0.255 F
```

Total energy after the MP2020 corrections (eV/atom): -5.170


Entry 8:
Computed, not measured: a relaxed structure of Hf3Ni4Ge4 at the GGA-PBE level of DFT.

```
Hf3Ni4Ge4
1.0
7.174 1.819 1.163
2.028 2.659 6.704
-2.769 -5.564 -4.183
Hf Ni Ge
3 4 4
direct
0.127 0.627 0.500 Hf
0.873 0.373 0.500 Hf
0.500 0.500 0.000 Hf
0.123 0.823 0.300 Ni
0.877 0.177 0.700 Ni
0.523 0.823 0.700 Ni
0.477 0.177 0.300 Ni
0.713 0.713 0.000 Ge
0.200 0.000 0.200 Ge
0.800 0.000 0.800 Ge
0.287 0.287 0.000 Ge
```


no.,energy (eV/cell),energy of formation from the pure elements (eV/atom)
1,-48.61,-0.41
2,-80.74,-2.27
3,-41.08,-0.11
4,-542.98,-0.06
5,-377.19,-2.80
6,-114.52,-0.37
7,-38.59,-2.45
8,-78.83,-0.67